No. 1
Material: Na7Zn3GeP5SO24
Method: DFT, PBE
State: optimized geometry

```
Na7Zn3GeP5SO24
1.0
-6.376 5.747 2.554
-2.251 -8.083 -3.099
0.917 -8.230 20.260
O P Zn Na Ge S
72 15 9 21 3 3
Direct
0.358 0.870 0.577
0.123 0.500 0.862
0.814 0.992 0.412
0.670 0.152 0.745
0.513 0.352 0.424
0.185 0.990 0.911
0.852 0.367 0.922
0.480 0.364 0.141
0.640 0.113 0.143
0.038 0.810 0.692
0.847 0.320 0.247
0.522 0.902 0.361
0.811 0.812 0.911
0.635 0.485 0.921
0.700 0.170 0.028
0.834 0.028 0.084
0.188 0.182 0.414
0.966 0.800 0.082
0.196 0.168 0.082
0.377 0.482 0.361
0.102 0.630 0.359
0.637 0.512 0.639
0.355 0.495 0.076
0.692 0.530 0.523
0.020 0.218 0.191
0.806 0.789 0.305
0.140 0.452 0.977
0.689 0.530 0.248
0.310 0.492 0.759
0.975 0.169 0.585
0.135 0.641 0.078
0.974 0.184 0.302
0.875 0.516 0.142
0.550 0.684 0.978
0.212 0.023 0.307
0.189 0.971 0.191
0.853 0.522 0.749
0.000 0.817 0.413
0.317 0.833 0.254
0.370 0.871 0.863
0.815 0.027 0.805
0.506 0.646 0.577
0.470 0.305 0.025
0.757 0.948 0.692
0.319 0.447 0.477
0.834 0.802 0.583
0.510 0.151 0.922
0.507 0.862 0.077
0.178 0.686 0.759
0.551 0.862 0.476
0.842 0.494 0.424
0.526 0.682 0.253
0.501 0.627 0.862
0.137 0.498 0.577
0.512 0.819 0.761
0.311 0.860 0.978
0.485 0.128 0.635
0.831 0.300 0.527
0.015 0.195 0.911
0.459 0.152 0.523
0.481 0.164 0.247
0.161 0.469 0.254
0.834 0.528 0.025
0.982 0.790 0.809
0.205 0.031 0.584
0.186 0.231 0.695
0.144 0.693 0.475
0.878 0.360 0.642
0.485 0.339 0.748
0.783 0.808 0.194
0.215 0.199 0.811
0.645 0.158 0.426
0.636 0.976 0.419
0.666 0.623 0.582
0.341 0.367 0.419
0.012 0.707 0.753
0.626 0.662 0.919
0.377 0.335 0.082
0.668 0.042 0.083
0.034 0.374 0.919
0.029 0.660 0.418
0.957 0.334 0.584
0.299 0.305 0.754
0.343 0.964 0.919
0.953 0.620 0.083
0.298 0.998 0.250
0.692 0.993 0.752
0.668 0.335 0.687
0.997 0.002 0.847
0.336 0.668 0.013
0.009 0.009 0.354
0.331 0.658 0.510
0.658 0.324 0.177
0.993 0.000 0.662
0.008 0.998 0.146
0.331 0.674 0.329
0.293 0.958 0.081
0.040 0.335 0.079
0.324 0.295 0.911
0.695 0.675 0.418
0.648 0.638 0.748
0.664 0.705 0.079
0.007 0.640 0.250
0.995 0.012 0.498
0.334 0.672 0.668
0.672 0.959 0.584
0.975 0.678 0.911
0.988 0.001 0.994
0.671 0.326 0.334
0.367 0.360 0.253
0.034 0.701 0.587
0.332 0.672 0.163
0.655 0.309 0.829
0.992 0.354 0.749
0.627 0.000 0.251
0.293 0.339 0.587
0.326 0.020 0.413
0.335 0.674 0.817
0.680 0.340 0.481
0.667 0.329 0.980
0.001 0.296 0.249
0.378 0.046 0.581
0.703 0.704 0.250
```

- Energy of formation from the pure elements: -2.3770 eV/atom
- V: 12.3 A^3/atom
- VASP energy: -6.063 eV per atom

***

No. 2
Material: NaZnGe3P3S3O24
Method: DFT, PBE
State: optimized geometry

```
NaZnGe3P3S3O24
1.0
-3.419 -3.721 -6.757
8.321 -0.355 1.274
-2.708 -18.374 11.506
O Ge S Zn P Na
72 9 9 3 9 3
Direct
0.617 0.105 0.141
0.164 0.971 0.908
0.025 0.839 0.411
0.485 0.111 0.638
0.294 0.835 0.252
0.828 0.796 0.307
0.350 0.854 0.573
0.189 0.168 0.089
0.968 0.798 0.807
0.168 0.188 0.411
0.546 0.840 0.474
0.168 0.973 0.193
0.835 0.542 0.026
0.840 0.823 0.592
0.025 0.190 0.909
0.812 0.837 0.906
0.453 0.296 0.027
0.534 0.700 0.254
0.982 0.169 0.589
0.453 0.157 0.528
0.798 0.828 0.194
0.646 0.156 0.430
0.974 0.169 0.307
0.039 0.828 0.695
0.847 0.533 0.747
0.296 0.452 0.472
0.702 0.163 0.025
0.516 0.896 0.359
0.164 0.702 0.475
0.855 0.361 0.923
0.984 0.819 0.089
0.295 0.836 0.972
0.786 0.957 0.695
0.889 0.371 0.638
0.847 0.497 0.427
0.528 0.826 0.758
0.124 0.502 0.859
0.352 0.498 0.074
0.836 0.295 0.248
0.189 0.021 0.589
0.700 0.534 0.246
0.481 0.373 0.139
0.497 0.349 0.427
0.147 0.500 0.572
0.843 0.292 0.528
0.707 0.545 0.526
0.695 0.159 0.746
0.461 0.169 0.247
0.292 0.475 0.759
0.375 0.481 0.362
0.501 0.622 0.859
0.198 0.030 0.307
0.821 0.988 0.410
0.107 0.617 0.360
0.178 0.709 0.758
0.160 0.202 0.692
0.378 0.873 0.858
0.468 0.303 0.748
0.029 0.196 0.194
0.893 0.516 0.141
0.839 0.024 0.090
0.624 0.514 0.639
0.640 0.493 0.925
0.826 0.027 0.807
0.153 0.645 0.072
0.494 0.648 0.570
0.190 0.162 0.808
0.496 0.844 0.073
0.540 0.705 0.973
0.507 0.148 0.924
0.170 0.461 0.254
0.168 0.463 0.974
0.334 0.674 0.016
0.333 0.658 0.815
0.994 0.991 0.359
0.998 0.001 0.646
0.007 0.005 0.859
0.676 0.336 0.980
0.993 0.994 0.140
0.344 0.677 0.517
0.678 0.343 0.483
0.710 0.995 0.752
0.374 0.335 0.083
0.373 0.040 0.583
0.965 0.337 0.584
0.713 0.713 0.250
0.007 0.717 0.752
0.334 0.373 0.417
0.282 0.002 0.250
0.002 0.281 0.250
0.331 0.674 0.317
0.657 0.340 0.686
0.673 0.331 0.181
0.623 0.666 0.917
0.336 0.955 0.916
0.047 0.381 0.917
0.664 0.628 0.584
0.962 0.624 0.083
0.628 0.965 0.417
0.664 0.040 0.083
0.281 0.286 0.752
0.042 0.665 0.417
0.661 0.333 0.832
0.331 0.671 0.166
0.671 0.331 0.332
```

- Energy of formation from the pure elements: -2.1214 eV/atom
- V: 12.8 A^3/atom
- VASP energy: -6.332 eV per atom

***

Please write out number 2 again, unchanged.
Material: NaZnGe3P3S3O24
Method: DFT, PBE
State: optimized geometry

```
NaZnGe3P3S3O24
1.0
-3.419 -3.721 -6.757
8.321 -0.355 1.274
-2.708 -18.374 11.506
O Ge S Zn P Na
72 9 9 3 9 3
Direct
0.617 0.105 0.141
0.164 0.971 0.908
0.025 0.839 0.411
0.485 0.111 0.638
0.294 0.835 0.252
0.828 0.796 0.307
0.350 0.854 0.573
0.189 0.168 0.089
0.968 0.798 0.807
0.168 0.188 0.411
0.546 0.840 0.474
0.168 0.973 0.193
0.835 0.542 0.026
0.840 0.823 0.592
0.025 0.190 0.909
0.812 0.837 0.906
0.453 0.296 0.027
0.534 0.700 0.254
0.982 0.169 0.589
0.453 0.157 0.528
0.798 0.828 0.194
0.646 0.156 0.430
0.974 0.169 0.307
0.039 0.828 0.695
0.847 0.533 0.747
0.296 0.452 0.472
0.702 0.163 0.025
0.516 0.896 0.359
0.164 0.702 0.475
0.855 0.361 0.923
0.984 0.819 0.089
0.295 0.836 0.972
0.786 0.957 0.695
0.889 0.371 0.638
0.847 0.497 0.427
0.528 0.826 0.758
0.124 0.502 0.859
0.352 0.498 0.074
0.836 0.295 0.248
0.189 0.021 0.589
0.700 0.534 0.246
0.481 0.373 0.139
0.497 0.349 0.427
0.147 0.500 0.572
0.843 0.292 0.528
0.707 0.545 0.526
0.695 0.159 0.746
0.461 0.169 0.247
0.292 0.475 0.759
0.375 0.481 0.362
0.501 0.622 0.859
0.198 0.030 0.307
0.821 0.988 0.410
0.107 0.617 0.360
0.178 0.709 0.758
0.160 0.202 0.692
0.378 0.873 0.858
0.468 0.303 0.748
0.029 0.196 0.194
0.893 0.516 0.141
0.839 0.024 0.090
0.624 0.514 0.639
0.640 0.493 0.925
0.826 0.027 0.807
0.153 0.645 0.072
0.494 0.648 0.570
0.190 0.162 0.808
0.496 0.844 0.073
0.540 0.705 0.973
0.507 0.148 0.924
0.170 0.461 0.254
0.168 0.463 0.974
0.334 0.674 0.016
0.333 0.658 0.815
0.994 0.991 0.359
0.998 0.001 0.646
0.007 0.005 0.859
0.676 0.336 0.980
0.993 0.994 0.140
0.344 0.677 0.517
0.678 0.343 0.483
0.710 0.995 0.752
0.374 0.335 0.083
0.373 0.040 0.583
0.965 0.337 0.584
0.713 0.713 0.250
0.007 0.717 0.752
0.334 0.373 0.417
0.282 0.002 0.250
0.002 0.281 0.250
0.331 0.674 0.317
0.657 0.340 0.686
0.673 0.331 0.181
0.623 0.666 0.917
0.336 0.955 0.916
0.047 0.381 0.917
0.664 0.628 0.584
0.962 0.624 0.083
0.628 0.965 0.417
0.664 0.040 0.083
0.281 0.286 0.752
0.042 0.665 0.417
0.661 0.333 0.832
0.331 0.671 0.166
0.671 0.331 0.332
```

- Energy of formation from the pure elements: -2.1214 eV/atom
- V: 12.8 A^3/atom
- VASP energy: -6.332 eV per atom